Record 1
Computed, not measured: an optimized crystal structure of Dy3Sc2Al3O12 at the PBE level of DFT.

Cell: 10.775 10.775 10.775 Å, 109.47 109.47 109.47°
Atoms (fractional coordinates):
Dy1 0.250 0.875 0.625
Dy2 0.375 0.125 0.250
Dy3 0.250 0.375 0.125
Dy4 0.625 0.875 0.750
Dy5 0.875 0.625 0.250
Dy6 0.875 0.750 0.625
Dy7 0.125 0.250 0.375
Dy8 0.625 0.250 0.875
Dy9 0.125 0.375 0.750
Dy10 0.750 0.625 0.875
Dy11 0.375 0.750 0.125
Dy12 0.750 0.125 0.375
O1 0.025 0.312 0.900
O2 0.525 0.626 0.713
O3 0.312 0.900 0.025
O4 0.412 0.100 0.626
O5 0.600 0.912 0.126
O6 0.475 0.600 0.188
O7 0.312 0.912 0.287
O8 0.812 0.525 0.400
O9 0.287 0.312 0.912
O10 0.100 0.975 0.688
O11 0.626 0.713 0.525
O12 0.088 0.874 0.400
O13 0.713 0.525 0.626
O14 0.188 0.475 0.600
O15 0.400 0.088 0.874
O16 0.412 0.812 0.787
O17 0.126 0.600 0.912
O18 0.588 0.188 0.213
O19 0.188 0.213 0.588
O20 0.525 0.400 0.812
O21 0.088 0.713 0.688
O22 0.874 0.975 0.787
O23 0.287 0.475 0.374
O24 0.213 0.588 0.188
O25 0.025 0.213 0.126
O26 0.100 0.626 0.412
O27 0.900 0.374 0.588
O28 0.812 0.787 0.412
O29 0.475 0.374 0.287
O30 0.688 0.100 0.975
O31 0.787 0.412 0.812
O32 0.975 0.688 0.100
O33 0.912 0.126 0.600
O34 0.374 0.588 0.900
O35 0.688 0.088 0.713
O36 0.975 0.787 0.874
O37 0.600 0.188 0.475
O38 0.588 0.900 0.374
O39 0.900 0.025 0.312
O40 0.912 0.287 0.312
O41 0.787 0.874 0.975
O42 0.213 0.126 0.025
O43 0.713 0.688 0.088
O44 0.626 0.412 0.100
O45 0.126 0.025 0.213
O46 0.374 0.287 0.475
O47 0.874 0.400 0.088
O48 0.400 0.812 0.525
Al1 0.875 0.250 0.125
Al2 0.375 0.250 0.625
Al3 0.625 0.750 0.375
Al4 0.125 0.750 0.875
Al5 0.250 0.125 0.875
Al6 0.250 0.625 0.375
Al7 0.750 0.875 0.125
Al8 0.375 0.625 0.750
Al9 0.625 0.375 0.250
Al10 0.125 0.875 0.250
Al11 0.875 0.125 0.750
Al12 0.750 0.375 0.625
Sc1 0.500 0.500 0.500
Sc2 0.000 0.500 0.000
Sc3 0.000 0.500 0.500
Sc4 0.500 0.500 0.000
Sc5 0.000 0.000 0.500
Sc6 0.500 0.000 0.000
Sc7 0.000 0.000 0.000
Sc8 0.500 0.000 0.500

Computed properties:
The calculation puts the formation energy at -3824 meV per atom.


Record 2
Computed, not measured: an optimized crystal structure of Sr14Al8Ge3 at the PBE level of DFT.

Cell: 15.064 15.064 15.064 Å, 46.95 46.95 46.95°
Atoms (fractional coordinates):
Al1 0.969 0.710 0.818
Al2 0.640 0.640 0.640
Al3 0.733 0.492 0.528
Al4 0.528 0.733 0.492
Al5 0.776 0.776 0.776
Al6 0.031 0.290 0.182
Al7 0.224 0.224 0.224
Al8 0.182 0.031 0.290
Al9 0.818 0.969 0.710
Al10 0.492 0.528 0.733
Al11 0.472 0.267 0.508
Al12 0.267 0.508 0.472
Al13 0.710 0.818 0.969
Al14 0.508 0.472 0.267
Al15 0.290 0.182 0.031
Al16 0.360 0.360 0.360
Ge1 0.918 0.330 0.904
Ge2 0.082 0.670 0.096
Ge3 0.670 0.096 0.082
Ge4 0.330 0.904 0.918
Ge5 0.904 0.918 0.330
Ge6 0.096 0.082 0.670
Sr1 0.194 0.507 0.946
Sr2 0.493 0.054 0.806
Sr3 0.794 0.808 0.307
Sr4 0.808 0.307 0.794
Sr5 0.693 0.206 0.192
Sr6 0.909 0.909 0.909
Sr7 0.853 0.584 0.206
Sr8 0.073 0.413 0.383
Sr9 0.091 0.091 0.091
Sr10 0.054 0.806 0.493
Sr11 0.206 0.192 0.693
Sr12 0.307 0.794 0.808
Sr13 0.946 0.194 0.507
Sr14 0.806 0.493 0.054
Sr15 0.416 0.794 0.147
Sr16 0.413 0.383 0.073
Sr17 0.000 0.000 0.000
Sr18 0.617 0.927 0.587
Sr19 0.584 0.206 0.853
Sr20 0.383 0.073 0.413
Sr21 0.927 0.587 0.617
Sr22 0.192 0.693 0.206
Sr23 0.500 0.500 0.500
Sr24 0.507 0.946 0.194
Sr25 0.587 0.617 0.927
Sr26 0.206 0.853 0.584
Sr27 0.794 0.147 0.416
Sr28 0.147 0.416 0.794

Computed properties:
The calculation puts the formation energy at -331 meV per atom.


Record 3
Computed, not measured: an optimized crystal structure of K2ZrSi3H2O10 at the PBE level of DFT.

Cell: 7.292 10.444 13.509 Å, 90.00 90.00 90.00°
Atoms (fractional coordinates):
O1 0.000 0.557 0.261
O2 0.412 0.111 0.228
O3 0.228 0.013 0.061
O4 0.482 0.911 0.937
O5 0.500 0.943 0.739
O6 0.772 0.513 0.439
O7 0.300 0.598 0.147
O8 0.728 0.487 0.939
O9 0.131 0.847 0.922
O10 0.874 0.814 0.567
O11 0.961 0.674 0.813
O12 0.539 0.326 0.313
O13 0.126 0.314 0.933
O14 0.631 0.653 0.078
O15 0.438 0.210 0.685
O16 0.254 0.919 0.365
O17 0.700 0.098 0.353
O18 0.018 0.089 0.437
O19 0.200 0.402 0.647
O20 0.562 0.710 0.815
O21 0.518 0.411 0.563
O22 0.800 0.902 0.853
O23 0.626 0.186 0.067
O24 0.746 0.419 0.135
O25 0.272 0.987 0.561
O26 0.461 0.826 0.187
O27 0.062 0.790 0.185
O28 0.088 0.889 0.728
O29 0.588 0.611 0.272
O30 0.500 0.443 0.761
O31 0.912 0.389 0.772
O32 0.869 0.347 0.578
O33 0.246 0.081 0.865
O34 0.374 0.686 0.433
O35 0.938 0.290 0.315
O36 0.039 0.174 0.687
O37 0.000 0.057 0.239
O38 0.754 0.581 0.635
O39 0.369 0.153 0.422
O40 0.982 0.589 0.063
Si1 0.495 0.673 0.174
Si2 0.270 0.969 0.948
Si3 0.583 0.864 0.833
Si4 0.770 0.531 0.052
Si5 0.730 0.469 0.552
Si6 0.995 0.827 0.826
Si7 0.917 0.136 0.333
Si8 0.417 0.364 0.667
Si9 0.083 0.636 0.167
Si10 0.005 0.327 0.674
Si11 0.505 0.173 0.326
Si12 0.230 0.031 0.448
K1 0.359 0.718 0.631
K2 0.222 0.429 0.422
K3 0.859 0.782 0.369
K4 0.141 0.282 0.131
K5 0.778 0.929 0.078
K6 0.278 0.571 0.922
K7 0.641 0.218 0.869
K8 0.722 0.071 0.578
H1 0.671 0.271 0.091
H2 0.959 0.843 0.620
H3 0.541 0.157 0.120
H4 0.041 0.343 0.880
H5 0.329 0.771 0.409
H6 0.171 0.229 0.909
H7 0.829 0.729 0.591
H8 0.459 0.657 0.380
Zr1 0.760 0.448 0.293
Zr2 0.260 0.052 0.707
Zr3 0.240 0.948 0.207
Zr4 0.740 0.552 0.793

Computed properties:
The calculation puts the formation energy at -2905 meV per atom.